# 1
Below is Gd2Cr2C3 after structural relaxation, with properties calculated at the r²SCAN level.

```
Gd2Cr2C3
1.0
1.709 5.202 -0.004
-1.709 5.202 -0.004
0.000 1.475 5.430
Cr Gd C
2 2 3
Direct
0.843 0.843 0.392
0.157 0.157 0.608
0.603 0.603 0.182
0.397 0.397 0.818
0.000 0.000 0.500
0.290 0.290 0.274
0.710 0.710 0.726
```

Calculated values
crystal system	monoclinic
SG	No. 12
total moment	1.7772	μB/atom
total energy	-21.246	eV per atom

# 2
Below is Ho2Cr2C3 after structural relaxation, with properties calculated at the r²SCAN level.

```
Ho2Cr2C3
1.0
-0.780 1.527 2.892
-2.866 -4.648 -0.274
4.870 -1.460 2.085
Ho Cr C
2 2 3
Direct
0.394 0.789 0.184
0.606 0.211 0.816
0.156 0.312 0.387
0.844 0.688 0.613
0.000 0.000 0.500
0.286 0.572 0.730
0.714 0.428 0.270
```

Calculated values
crystal system	monoclinic
SG	No. 12
total moment	0.1897	μB/atom
total energy	-18.329	eV per atom

# 3
Below is HoCr2Si2C after structural relaxation, with properties calculated at the r²SCAN level.

```
HoCr2Si2C
1.0
-1.868 0.051 -3.464
3.334 -1.043 -1.813
-1.272 -5.129 0.610
Ho Si Cr C
1 2 2 1
Direct
0.000 0.000 0.500
0.500 0.500 0.721
0.500 0.500 0.279
0.500 0.000 0.000
0.000 0.500 0.000
0.000 0.000 0.000
```

Calculated values
crystal system	tetragonal
SG	No. 123
total moment	0.4720	μB/atom
total energy	-15.527	eV per atom

# 4
Below is LaCr2Si2C after structural relaxation, with properties calculated at the r²SCAN level.

```
LaCr2Si2C
1.0
-1.150 3.412 1.790
-3.846 -1.131 -0.315
0.326 -2.492 4.959
Si C Cr La
2 1 2 1
Direct
0.500 0.500 0.225
0.500 0.500 0.775
0.000 0.000 0.500
0.500 0.000 0.500
0.000 0.500 0.500
0.000 0.000 0.000
```

Calculated values
crystal system	tetragonal
SG	No. 123
total moment	0.5615	μB/atom
total energy	-14.976	eV per atom

# 5
Below is Li3CrPCO7 after structural relaxation, with properties calculated at the r²SCAN level.

```
Li3CrPCO7
1.0
-3.583 4.501 -2.701
-1.570 -3.321 -3.451
-6.551 -2.287 4.880
O Li P C Cr
14 6 2 2 2
Direct
0.272 0.099 0.496
0.254 0.206 0.931
0.754 0.794 0.069
0.723 0.348 0.625
0.772 0.901 0.504
0.697 0.375 0.002
0.223 0.652 0.375
0.068 0.065 0.243
0.946 0.983 0.761
0.767 0.470 0.254
0.446 0.017 0.239
0.267 0.530 0.746
0.568 0.935 0.757
0.197 0.625 0.998
0.382 0.441 0.539
0.693 0.577 0.805
0.882 0.559 0.461
0.193 0.423 0.195
0.024 0.956 0.002
0.524 0.044 0.998
0.254 0.950 0.342
0.754 0.050 0.658
0.738 0.543 0.109
0.238 0.457 0.891
0.756 0.036 0.273
0.256 0.964 0.727
```

Calculated values
crystal system	monoclinic
SG	No. 4
total moment	0.3077	μB/atom
total energy	-8.568	eV per atom

# 6
Below is Cr2Rh2C after structural relaxation, with properties calculated at the r²SCAN level.

```
Cr2Rh2C
1.0
8.744 -1.362 0.006
8.744 1.362 0.006
8.530 0.000 2.355
C Cr Rh
1 2 2
Direct
0.000 0.000 0.000
0.377 0.377 0.377
0.623 0.623 0.623
0.122 0.122 0.122
0.878 0.878 0.878
```

Calculated values
crystal system	trigonal
SG	No. 166
total moment	0.0000	μB/atom
total energy	-17.680	eV per atom

# 7
Below is ScCrC2 after structural relaxation, with properties calculated at the r²SCAN level.

```
ScCrC2
1.0
-1.089 -0.356 -3.037
1.190 -2.557 1.608
-8.233 -1.839 3.168
C Cr Sc
4 2 2
Direct
0.333 0.667 0.666
0.333 0.667 0.834
0.667 0.333 0.166
0.667 0.333 0.334
0.333 0.667 0.250
0.667 0.333 0.750
0.000 0.000 0.500
0.000 0.000 0.000
```

Calculated values
crystal system	hexagonal
SG	No. 194
total moment	0.0000	μB/atom
total energy	-11.947	eV per atom

# 8
Below is UCr4C4 after structural relaxation, with properties calculated at the r²SCAN level.

```
UCr4C4
1.0
0.355 -4.458 -3.649
0.369 1.979 5.410
-5.767 0.194 -0.129
Cr C U
4 4 1
Direct
0.365 0.824 0.189
0.635 0.176 0.811
0.824 0.635 0.459
0.176 0.365 0.541
0.403 0.262 0.665
0.738 0.403 0.141
0.597 0.738 0.335
0.262 0.597 0.859
0.000 0.000 0.000
```

Calculated values
crystal system	tetragonal
SG	No. 87
total moment	0.3075	μB/atom
total energy	-20.132	eV per atom